Entry 1:
# Nb2Pd (PBE, relaxed)
# **Formation energy**: -5.35 kcal/mol of atoms
# **E**: -8.69 eV per atom
# **Theoretical density**: 9.43 g/cm3
data_Nb2Pd
_chemical_formula_sum 'Nb8 Pd4'
_cell_length_a 3.666
_cell_length_b 4.296
_cell_length_c 13.062
_cell_angle_alpha 90.00
_cell_angle_beta 90.00
_cell_angle_gamma 90.00
_space_group_name_H-M_alt 'F m m m'
_space_group_IT_number 69
_space_group_name_Hall '-F 2 2'
loop_
_atom_site_label
_atom_site_fract_x
_atom_site_fract_y
_atom_site_fract_z
_atom_site_occupancy
Nb1 0.000 0.000 0.163 1
Pd1 0.000 0.000 0.500 1

Entry 2:
# Nb6PdPt (PBE, relaxed)
# **M_tot**: 0.0000 μB per atom
# **Formation energy**: -6.02 kcal/mol of atoms
# **E**: -9.24 eV per atom
# **Theoretical density**: 10.14 g/cm3
data_Nb6PdPt
_chemical_formula_sum 'Nb6 Pd1 Pt1'
_cell_length_a 5.201
_cell_length_b 5.201
_cell_length_c 5.201
_cell_angle_alpha 90.00
_cell_angle_beta 90.00
_cell_angle_gamma 90.00
_space_group_name_H-M_alt 'P m -3'
_space_group_IT_number 200
_space_group_name_Hall '-P 2 2 3'
loop_
_atom_site_label
_atom_site_fract_x
_atom_site_fract_y
_atom_site_fract_z
_atom_site_occupancy
Nb1 0.000 0.252 0.500 1
Pd1 0.000 0.000 0.000 1
Pt1 0.500 0.500 0.500 1

Entry 3:
# Nb2PdS5 (PBE, relaxed)
# **Formation energy**: -27.16 kcal/mol of atoms
# **E**: -6.62 eV per atom
# **Theoretical density**: 4.82 g/cm3
data_Nb2PdS5
_chemical_formula_sum 'Nb8 Pd4 S20'
_cell_length_a 12.566
_cell_length_b 3.309
_cell_length_c 15.395
_cell_angle_alpha 90.00
_cell_angle_beta 103.01
_cell_angle_gamma 90.00
_space_group_name_H-M_alt 'C 1 2/m 1'
_space_group_IT_number 12
loop_
_space_group_symop_operation_xyz
'x,y,z'
'-x,-y,-z'
'-x,y,-z'
'x,-y,z'
'x+1/2,y+1/2,z'
'-x+1/2,-y+1/2,-z'
'-x+1/2,y+1/2,-z'
'x+1/2,-y+1/2,z'
loop_
_atom_site_label
_atom_site_fract_x
_atom_site_fract_y
_atom_site_fract_z
_atom_site_occupancy
Nb1 0.077 0.000 0.181 1
Nb2 0.153 0.500 0.375 1
Pd1 0.000 0.500 0.000 1
Pd2 0.000 0.500 0.500 1
S1 0.005 0.000 0.318 1
S2 0.071 0.500 0.871 1
S3 0.148 0.000 0.506 1
S4 0.170 0.500 0.103 1
S5 0.249 0.000 0.298 1

Entry 4:
# NbPt3 (PBE, relaxed)
# **Formation energy**: -14.92 kcal/mol of atoms
# **E**: -7.73 eV per atom
# **Theoretical density**: 17.53 g/cm3
data_NbPt3
_chemical_formula_sum 'Nb2 Pt6'
_cell_length_a 4.630
_cell_length_b 5.608
_cell_length_c 4.949
_cell_angle_alpha 90.00
_cell_angle_beta 90.00
_cell_angle_gamma 90.00
_space_group_name_H-M_alt 'P m m n'
_space_group_IT_number 59
loop_
_space_group_symop_operation_xyz
'x,y,z'
'-x,-y,-z'
'-x+1/2,-y+1/2,z'
'x+1/2,y+1/2,-z'
'x+1/2,-y,-z'
'-x+1/2,y,z'
'-x,y+1/2,-z'
'x,-y+1/2,z'
loop_
_atom_site_label
_atom_site_fract_x
_atom_site_fract_y
_atom_site_fract_z
_atom_site_occupancy
Nb1 0.250 0.250 0.156 1
Pt1 0.250 0.000 0.665 1
Pt2 0.250 0.750 0.159 1

Entry 5:
# Nb2Pt (PBE, relaxed)
# **Formation energy**: -10.53 kcal/mol of atoms
# **E**: -9.21 eV per atom
# **Theoretical density**: 12.15 g/cm3
data_Nb2Pt
_chemical_formula_sum 'Nb20 Pt10'
_cell_length_a 10.020
_cell_length_b 10.020
_cell_length_c 5.185
_cell_angle_alpha 90.00
_cell_angle_beta 90.00
_cell_angle_gamma 90.00
_space_group_name_H-M_alt 'P 42/m n m'
_space_group_IT_number 136
_space_group_name_Hall '-P 4n 2n'
loop_
_atom_site_label
_atom_site_fract_x
_atom_site_fract_y
_atom_site_fract_z
_atom_site_occupancy
Nb1 0.037 0.374 0.000 1
Nb2 0.105 0.105 0.000 1
Nb3 0.181 0.819 0.248 1
Pt1 0.000 0.000 0.500 1
Pt2 0.067 0.263 0.500 1

Entry 6:
# NbPt3 (PBE, relaxed)
# **Formation energy**: -14.86 kcal/mol of atoms
# **E**: -7.72 eV per atom
# **Theoretical density**: 17.54 g/cm3
data_NbPt3
_chemical_formula_sum 'Nb4 Pt12'
_cell_length_a 4.937
_cell_length_b 5.620
_cell_length_c 9.415
_cell_angle_alpha 90.00
_cell_angle_beta 100.59
_cell_angle_gamma 90.00
_space_group_name_H-M_alt 'P 1 21/m 1'
_space_group_IT_number 11
loop_
_space_group_symop_operation_xyz
'x,y,z'
'-x,-y,-z'
'-x,y+1/2,-z'
'x,-y+1/2,z'
loop_
_atom_site_label
_atom_site_fract_x
_atom_site_fract_y
_atom_site_fract_z
_atom_site_occupancy
Nb1 0.121 0.250 0.378 1
Nb2 0.287 0.250 0.873 1
Pt1 0.109 0.750 0.376 1
Pt2 0.209 0.001 0.123 1
Pt3 0.292 0.750 0.872 1
Pt4 0.380 0.501 0.626 1

Entry 7:
# Rb3Nb (PBE, relaxed)
# **Energy above the most stable polymorph in this dataset**: 0 meV per atom
# **M_tot**: 1.4275 μB per atom
# **Formation energy**: 27.24 kcal/mol of atoms
# **E**: -2.08 eV per atom
# **Theoretical density**: 2.59 g/cm3
data_Rb3Nb
_chemical_formula_sum 'Rb6 Nb2'
_cell_length_a 6.285
_cell_length_b 6.285
_cell_length_c 11.345
_cell_angle_alpha 90.00
_cell_angle_beta 90.00
_cell_angle_gamma 90.00
_space_group_name_H-M_alt 'I 4/m m m'
_space_group_IT_number 139
_space_group_name_Hall '-I 4 2'
loop_
_atom_site_label
_atom_site_fract_x
_atom_site_fract_y
_atom_site_fract_z
_atom_site_occupancy
Rb1 0.000 0.000 0.000 1
Rb2 0.000 0.500 0.250 1
Nb1 0.000 0.000 0.500 1

Entry 8:
# Rb3Nb (PBE, relaxed)
# **Energy above the most stable polymorph in this dataset**: 5 meV per atom
# **M_tot**: 1.3171 μB per atom
# **Formation energy**: 27.36 kcal/mol of atoms
# **E**: -2.07 eV per atom
# **Theoretical density**: 2.54 g/cm3
data_Rb3Nb
_chemical_formula_sum 'Rb6 Nb2'
_cell_length_a 8.7587
_cell_length_b 8.7587
_cell_length_c 6.8847
_cell_angle_alpha 90.00
_cell_angle_beta 90.00
_cell_angle_gamma 120.00
_space_group_name_H-M_alt 'P 63/m m c'
_space_group_IT_number 194
_space_group_name_Hall '-P 6c 2c'
loop_
_atom_site_label
_atom_site_fract_x
_atom_site_fract_y
_atom_site_fract_z
_atom_site_occupancy
Rb1 0.1787 0.3573 0.2500 1
Nb1 0.3333 0.6667 0.7500 1

Entry 9:
# RbNb2S4 (PBE, relaxed)
# **M_tot**: 0.0001 μB per atom
# **Formation energy**: -30.95 kcal/mol of atoms
# **E**: -6.44 eV per atom
# **Theoretical density**: 4.57 g/cm3
data_RbNb2S4
_chemical_formula_sum 'Rb1 Nb2 S4'
_cell_length_a 3.4499
_cell_length_b 3.4499
_cell_length_c 14.1000
_cell_angle_alpha 90.00
_cell_angle_beta 90.00
_cell_angle_gamma 120.00
_space_group_name_H-M_alt 'P -3 m 1'
_space_group_IT_number 164
_space_group_name_Hall '-P 3 2"'
loop_
_atom_site_label
_atom_site_fract_x
_atom_site_fract_y
_atom_site_fract_z
_atom_site_occupancy
Rb1 0.0000 0.0000 0.0000 1
Nb1 0.0000 0.0000 0.2929 1
S1 0.3333 0.6667 0.6018 1
S2 0.3333 0.6667 0.8182 1

Entry 10:
# RbNb6S8 (PBE, relaxed)
# **Formation energy**: -32.23 kcal/mol of atoms
# **E**: -7.44 eV per atom
# **Theoretical density**: 5.30 g/cm3
data_RbNb6S8
_chemical_formula_sum 'Rb1 Nb6 S8'
_cell_length_a 9.7657
_cell_length_b 9.7657
_cell_length_c 3.4098
_cell_angle_alpha 90.00
_cell_angle_beta 90.00
_cell_angle_gamma 120.00
_space_group_name_H-M_alt 'P -3'
_space_group_IT_number 147
loop_
_space_group_symop_operation_xyz
'x,y,z'
'-x,-y,-z'
'-y,x-y,z'
'y,-x+y,-z'
'-x+y,-x,z'
'x-y,x,-z'
loop_
_atom_site_label
_atom_site_fract_x
_atom_site_fract_y
_atom_site_fract_z
_atom_site_occupancy
Rb1 0.0000 0.0000 0.0000 1
Nb1 0.1112 0.4867 0.7508 1
S1 0.0579 0.7105 0.7475 1
S2 0.3333 0.6667 0.2505 1

Entry 11:
# Rb3Nb2S11 (PBE, relaxed)
# **Formation energy**: -27.22 kcal/mol of atoms
# **E**: -5.12 eV per atom
# **Theoretical density**: 2.80 g/cm3
data_Rb3Nb2S11
_chemical_formula_sum 'Rb12 Nb8 S44'
_cell_length_a 12.012
_cell_length_b 8.180
_cell_length_c 19.672
_cell_angle_alpha 90.00
_cell_angle_beta 103.08
_cell_angle_gamma 90.00
_space_group_name_H-M_alt 'P 1 21/c 1'
_space_group_IT_number 14
loop_
_space_group_symop_operation_xyz
'x,y,z'
'-x,-y,-z'
'-x,y+1/2,-z+1/2'
'x,-y+1/2,z+1/2'
loop_
_atom_site_label
_atom_site_fract_x
_atom_site_fract_y
_atom_site_fract_z
_atom_site_occupancy
Rb1 0.002 0.172 0.159 1
Rb2 0.228 0.683 0.113 1
Rb3 0.462 0.656 0.357 1
Nb1 0.197 0.227 0.992 1
Nb2 0.291 0.143 0.334 1
S1 0.002 0.623 0.515 1
S2 0.083 0.021 0.450 1
S3 0.108 0.223 0.837 1
S4 0.205 0.105 0.777 1
S5 0.236 0.567 0.761 1
S6 0.252 0.553 0.468 1
S7 0.254 0.005 0.445 1
S8 0.257 0.235 0.607 1
S9 0.369 0.129 0.957 1
S10 0.480 0.226 0.314 1
S11 0.485 0.074 0.400 1

Entry 12:
# RbNb6Te8 (PBE, relaxed)
# **M_tot**: 0.0004 μB per atom
# **Formation energy**: -16.69 kcal/mol of atoms
# **E**: -6.28 eV per atom
# **Theoretical density**: 7.20 g/cm3
data_RbNb6Te8
_chemical_formula_sum 'Rb1 Nb6 Te8'
_cell_length_a 3.711
_cell_length_b 10.924
_cell_length_c 10.930
_cell_angle_alpha 60.04
_cell_angle_beta 89.99
_cell_angle_gamma 89.99
_space_group_name_H-M_alt 'P -1'
_space_group_IT_number 2
loop_
_space_group_symop_operation_xyz
'x,y,z'
'-x,-y,-z'
loop_
_atom_site_label
_atom_site_fract_x
_atom_site_fract_y
_atom_site_fract_z
_atom_site_occupancy
Rb1 0.000 0.000 0.000 1
Nb1 0.248 0.489 0.899 1
Nb2 0.248 0.612 0.488 1
Nb3 0.248 0.899 0.612 1
Te1 0.251 0.333 0.333 1
Te2 0.254 0.341 0.723 1
Te3 0.254 0.724 0.935 1
Te4 0.254 0.935 0.341 1

Number 8 is which compound?
Rb3Nb

What is the E in the fourth record?
-7.73 eV per atom